# Li4Mn5O10

A relaxed Li4Mn5O10 crystal (PBE with a Hubbard U, the Materials Project).

## Properties
DFT formation energy: -2.07 eV per atom
relative energy among the computed polymorphs: 0.0 meV/atom

The structure in CIF format:
```
data_Li4Mn5O10
_cell_length_a 6.5850
_cell_length_b 7.9526
_cell_length_c 7.9610
_cell_angle_alpha 95.66
_cell_angle_beta 114.34
_cell_angle_gamma 91.07
_symmetry_space_group_name_H-M 'P -1'
_symmetry_Int_Tables_number 2
loop_
_symmetry_equiv_pos_as_xyz
'x,y,z'
'-x,-y,-z'
loop_
_atom_site_label
_atom_site_fract_x
_atom_site_fract_y
_atom_site_fract_z
_atom_site_occupancy
Li1 0.0938 0.0919 0.4163 1
Li2 0.2404 0.7496 0.4867 1
Li3 0.3178 0.2986 0.2355 1
Li4 0.3936 0.4042 0.5896 1
Mn1 0.0000 0.0000 0.0000 1
Mn2 0.0434 0.5482 0.6892 1
Mn3 0.1468 0.6525 0.1077 1
Mn4 0.3470 0.8517 0.8825 1
Mn5 0.4606 0.9523 0.3090 1
Mn6 0.5000 0.5000 0.0000 1
O1 0.0385 0.7732 0.8321 1
O2 0.0565 0.3509 0.5344 1
O3 0.1495 0.4486 0.9349 1
O4 0.1490 0.8749 0.2401 1
O5 0.2497 0.9618 0.6565 1
O6 0.2530 0.5152 0.3457 1
O7 0.3527 0.0719 0.0861 1
O8 0.3649 0.6063 0.7589 1
O9 0.4322 0.1530 0.4661 1
O10 0.4442 0.7390 0.1360 1
```

=====

# LiMn3O6

A relaxed LiMn3O6 crystal (PBE with a Hubbard U, the Materials Project).

## Properties
DFT formation energy: -1.96 eV per atom
relative energy among the computed polymorphs: 17.9 meV/atom

The structure in CIF format:
```
data_LiMn3O6
_cell_length_a 5.2390
_cell_length_b 8.6881
_cell_length_c 5.3135
_cell_angle_alpha 90.00
_cell_angle_beta 110.05
_cell_angle_gamma 90.00
_symmetry_space_group_name_H-M 'C 1 2/m 1'
_symmetry_Int_Tables_number 12
loop_
_symmetry_equiv_pos_as_xyz
'x,y,z'
'-x,-y,-z'
'-x,y,-z'
'x,-y,z'
'x+1/2,y+1/2,z'
'-x+1/2,-y+1/2,-z'
'-x+1/2,y+1/2,-z'
'x+1/2,-y+1/2,z'
loop_
_atom_site_label
_atom_site_fract_x
_atom_site_fract_y
_atom_site_fract_z
_atom_site_occupancy
Li1 0.0000 0.0000 0.0000 1
Mn1 0.0000 0.1660 0.5000 1
Mn2 0.0000 0.5000 0.5000 1
O1 0.1972 0.0000 0.7175 1
O2 0.2424 0.3356 0.6924 1
```